Computed, not measured: an optimized crystal structure of PrBr3 at the meta-GGA r2SCAN level of DFT.

```
PrBr3
1.0
8.029 0.000 0.000
-4.015 6.954 0.000
0.000 0.000 4.434
Pr Br
2 6
Cartesian
0.000 4.636 1.109
4.015 2.318 3.326
-0.858 2.689 3.326
-1.257 6.352 3.326
1.900 2.087 1.109
2.115 4.867 3.326
5.272 0.602 1.109
4.872 4.265 1.109
```

Output
- space group = P6_3/m (176)
- DFT formation energy (kJ per mole of atoms) = -211.5
- total magnetic moment (μB/cell) = 0.00

---

Computed, not measured: an optimized crystal structure of PuSi2 at the meta-GGA r2SCAN level of DFT.

```
PuSi2
1.0
4.032 0.000 0.000
-2.016 3.491 0.000
0.000 0.000 4.004
Pu Si
1 2
Cartesian
0.000 0.000 0.000
0.000 2.328 2.002
2.016 1.164 2.002
```

Output
- space group = P6/mmm (191)
- DFT formation energy (kJ per mole of atoms) = -56.2
- total magnetic moment (μB/cell) = 5.22

---

Computed, not measured: an optimized crystal structure of K16Na9Tl18Cd3 at the meta-GGA r2SCAN level of DFT.

```
K16Na9Tl18Cd3
1.0
11.200 0.000 0.000
-5.600 9.700 0.000
0.000 0.000 29.535
K Na Tl Cd
32 18 36 6
Cartesian
-2.214 5.188 3.677
-2.214 5.188 11.091
-2.035 5.291 22.151
0.000 2.546 1.730
0.000 2.546 13.037
-3.395 8.427 1.730
-3.395 8.427 13.037
2.205 1.273 16.498
2.205 1.273 27.805
0.000 6.466 7.384
2.035 5.291 22.151
0.000 8.817 22.151
2.214 5.188 3.677
2.214 5.188 11.091
0.000 9.023 3.677
0.000 9.023 11.091
5.600 0.677 18.444
5.600 0.677 25.858
3.386 4.512 18.444
3.386 4.512 25.858
5.600 0.883 7.384
3.565 4.408 7.384
5.600 3.233 22.151
3.395 8.427 1.730
3.395 8.427 13.037
8.995 1.273 16.498
8.995 1.273 27.805
5.600 7.154 16.498
5.600 7.154 27.805
7.635 4.408 7.384
7.814 4.512 18.444
7.814 4.512 25.858
-2.800 4.850 0.000
-2.800 4.850 14.768
0.000 3.225 19.292
0.000 3.225 25.010
-2.807 8.087 19.292
-2.807 8.087 25.010
2.793 1.612 4.525
2.793 1.612 10.243
5.600 0.000 0.000
5.600 0.000 14.768
2.800 4.850 0.000
2.800 4.850 14.768
2.807 8.087 19.292
2.807 8.087 25.010
8.407 1.612 4.525
8.407 1.612 10.243
5.600 6.475 4.525
5.600 6.475 10.243
0.000 0.000 4.649
0.000 0.000 10.119
0.000 0.000 19.416
0.000 0.000 24.887
0.000 3.067 5.827
0.000 3.067 8.940
-2.944 8.166 5.827
-2.944 8.166 8.940
0.000 4.540 16.388
0.000 4.540 27.915
-1.668 7.430 16.388
-1.668 7.430 27.915
2.656 1.534 20.595
2.656 1.534 23.708
0.000 6.466 0.891
0.000 6.466 13.877
0.000 6.466 18.912
0.000 6.466 25.390
3.932 2.270 1.620
3.932 2.270 13.147
1.668 7.430 16.388
1.668 7.430 27.915
5.600 3.233 4.145
5.600 3.233 10.623
5.600 3.233 15.658
5.600 3.233 28.644
2.944 8.166 5.827
2.944 8.166 8.940
7.269 2.270 1.620
7.269 2.270 13.147
5.600 5.160 1.620
5.600 5.160 13.147
8.544 1.534 20.595
8.544 1.534 23.708
5.600 6.632 20.595
5.600 6.632 23.708
0.000 1.912 22.151
-3.945 8.744 22.151
1.655 0.956 7.384
3.945 8.744 22.151
9.545 0.956 7.384
5.600 7.788 7.384
```

Output
- space group = P6_3/mmc (194)
- DFT formation energy (kJ per mole of atoms) = -17.6
- total magnetic moment (μB/cell) = 0.63

---

Computed, not measured: an optimized crystal structure of LuSe at the meta-GGA r2SCAN level of DFT.

```
LuSe
1.0
0.000 2.797 2.797
2.797 0.000 2.797
2.797 2.797 0.000
Lu Se
1 1
Cartesian
0.000 0.000 0.000
2.797 2.797 2.797
```

Output
- space group = Fm-3m (225)
- DFT formation energy (kJ per mole of atoms) = -174.9
- total magnetic moment (μB/cell) = 0.00

---

Computed, not measured: an optimized crystal structure of LiSiNO at the meta-GGA r2SCAN level of DFT.

```
LiSiNO
1.0
5.181 0.000 0.000
0.000 6.341 0.000
0.000 0.000 4.742
Li Si N O
4 4 4 4
Cartesian
0.502 0.717 0.000
2.089 0.717 2.371
3.092 5.624 0.000
4.679 5.624 2.371
0.419 3.936 0.054
2.172 3.936 2.426
3.009 2.404 0.054
4.762 2.404 2.426
0.563 3.713 3.071
2.027 3.713 0.699
3.154 2.627 3.071
4.618 2.627 0.699
0.210 0.984 2.814
2.381 0.984 0.442
2.800 5.357 2.814
4.971 5.357 0.442
```

Output
- space group = Pca2_1 (29)
- DFT formation energy (kJ per mole of atoms) = -200.7
- total magnetic moment (μB/cell) = 0.00

---

Computed, not measured: an optimized crystal structure of K3InCl6 at the meta-GGA r2SCAN level of DFT.

```
K3InCl6
1.0
12.809 0.000 0.000
0.000 7.642 0.000
-3.999 0.000 11.662
K In Cl
12 4 24
Cartesian
-0.165 0.175 4.215
-2.165 3.646 10.045
2.997 4.299 3.080
0.997 7.163 8.911
3.651 0.525 1.298
1.652 3.296 7.129
7.159 4.346 4.533
5.159 7.116 10.364
7.813 0.478 2.751
5.814 3.342 8.582
10.975 3.996 1.616
8.976 7.467 7.447
0.000 0.000 0.000
-1.999 3.821 5.831
4.405 0.000 5.831
6.405 3.821 0.000
-1.067 1.652 6.906
0.933 2.169 1.075
-0.009 3.903 4.334
-2.008 7.560 10.165
-0.844 5.181 7.600
1.156 6.282 1.769
2.873 1.608 4.594
0.873 2.213 10.425
4.450 5.397 0.045
2.451 6.066 5.876
3.157 4.864 9.449
5.156 6.598 3.618
3.655 1.043 8.044
5.654 2.777 2.213
6.360 1.576 5.786
4.360 2.245 11.616
7.937 5.429 1.237
5.938 6.033 7.068
7.655 1.360 9.893
9.654 2.461 4.062
10.819 0.082 1.497
8.819 3.739 7.328
7.878 5.472 10.587
9.877 5.990 4.756
```

Output
- space group = P2_1/c (14)
- DFT formation energy (kJ per mole of atoms) = -181.0
- total magnetic moment (μB/cell) = 0.00

---

Computed, not measured: an optimized crystal structure of Ar at the meta-GGA r2SCAN level of DFT.

```
Ar
1.0
0.000 2.682 2.682
2.682 0.000 2.682
2.682 2.682 0.000
Ar
1
Cartesian
0.000 0.000 0.000
```

Output
- space group = Fm-3m (225)
- relative energy among the computed polymorphs (meV per atom) = 0
- DFT formation energy (kJ per mole of atoms) = 0.0
- total magnetic moment (μB/cell) = 0.00

---

Computed, not measured: an optimized crystal structure of GdMnB4 at the meta-GGA r2SCAN level of DFT.

```
GdMnB4
1.0
5.977 0.000 0.000
0.000 11.577 0.000
0.000 0.000 3.425
Gd Mn B
4 4 16
Cartesian
0.752 1.744 0.000
2.236 7.532 0.000
3.741 4.045 0.000
5.225 9.833 0.000
0.786 4.792 0.000
2.202 10.580 0.000
3.775 0.997 0.000
5.191 6.785 0.000
0.135 7.987 1.712
0.671 6.325 1.712
0.835 11.199 1.712
1.303 9.442 1.712
1.686 3.654 1.712
2.154 5.411 1.712
2.318 0.536 1.712
2.854 2.199 1.712
3.123 9.378 1.712
3.659 11.041 1.712
3.824 6.166 1.712
4.291 7.923 1.712
4.675 2.135 1.712
5.143 0.378 1.712
5.307 5.252 1.712
5.843 3.589 1.712
```

Output
- space group = Pbam (55)
- DFT formation energy (kJ per mole of atoms) = -61.0
- total magnetic moment (μB/cell) = 20.18

---

Computed, not measured: an optimized crystal structure of TiAlIr2 at the meta-GGA r2SCAN level of DFT.

```
TiAlIr2
1.0
0.000 3.063 3.063
3.063 0.000 3.063
3.063 3.063 0.000
Ti Al Ir
1 1 2
Cartesian
0.000 0.000 0.000
3.063 3.063 3.063
1.531 1.531 1.531
4.594 4.594 4.594
```

Output
- space group = Fm-3m (225)
- DFT formation energy (kJ per mole of atoms) = -98.5
- total magnetic moment (μB/cell) = 0.98

---

Computed, not measured: an optimized crystal structure of CoSb3 at the meta-GGA r2SCAN level of DFT.

```
CoSb3
1.0
-4.527 4.527 4.527
4.527 -4.527 4.527
4.527 4.527 -4.527
Co Sb
4 12
Cartesian
2.263 2.263 -2.263
2.263 -2.263 2.263
-2.263 2.263 2.263
2.263 2.263 2.263
3.022 0.000 1.437
6.031 0.000 1.437
4.527 3.090 -1.504
1.437 3.022 0.000
3.090 -1.504 4.527
0.000 1.437 3.022
4.527 3.090 1.504
1.437 6.031 0.000
3.090 1.504 4.527
0.000 1.437 6.031
-1.504 4.527 3.090
1.504 4.527 3.090
```

Output
- space group = Im-3 (204)
- DFT formation energy (kJ per mole of atoms) = -14.3
- total magnetic moment (μB/cell) = 0.00

---

Computed, not measured: an optimized crystal structure of TaPt3 at the meta-GGA r2SCAN level of DFT.

```
TaPt3
1.0
-2.816 -2.652 3.002
0.907 -4.512 -3.135
22.215 -6.028 15.105
Ta Pt
12 36
Cartesian
6.253 -6.019 3.054
11.781 -9.797 10.091
10.391 -6.174 9.421
15.443 -10.795 12.589
4.863 -2.396 2.384
20.125 -10.922 14.125
0.181 -2.270 0.847
8.524 -3.395 4.881
1.571 -5.892 1.517
14.052 -7.173 11.918
9.915 -7.018 5.551
18.735 -7.299 13.455
17.787 -5.900 11.167
2.326 -1.203 2.392
15.712 -6.977 9.655
-0.976 -4.726 1.585
16.650 -8.351 11.905
3.656 -4.841 3.067
8.956 -5.690 3.362
7.854 -4.981 9.429
21.282 -8.466 13.387
2.519 -7.292 3.805
9.442 -4.774 7.131
2.778 -3.448 0.833
8.305 -7.225 7.870
19.693 -8.627 15.644
12.000 -5.967 7.102
10.864 -8.418 7.841
4.594 -6.215 5.317
21.733 -10.712 11.827
17.980 -11.988 12.580
6.916 -3.605 7.179
12.452 -8.211 5.543
15.261 -4.732 11.215
7.367 -5.851 5.619
19.208 -9.543 11.876
5.822 -3.724 4.572
-1.428 -2.480 3.145
0.612 -4.565 -0.672
14.484 -9.468 10.400
5.045 -8.460 3.757
1.098 -3.649 3.096
17.528 -9.744 14.139
4.107 -7.085 1.508
16.199 -6.107 13.464
11.350 -7.502 11.610
12.939 -7.341 9.353
13.390 -9.586 7.793
```

Output
- DFT formation energy (kJ per mole of atoms) = -74.5
- total magnetic moment (μB/cell) = 0.00

---

Computed, not measured: an optimized crystal structure of HgP14Pb at the meta-GGA r2SCAN level of DFT.

```
HgP14Pb
1.0
13.214 0.000 0.000
0.000 9.859 0.000
0.000 0.000 11.041
Hg P Pb
4 56 4
Cartesian
2.455 2.465 11.036
4.152 7.394 5.515
9.062 2.465 5.525
10.759 7.394 0.005
0.331 5.687 1.688
0.331 9.102 1.688
0.375 2.465 1.770
0.659 7.394 3.052
0.793 0.820 3.162
0.793 4.110 3.162
1.049 5.705 6.515
1.049 9.084 6.515
1.169 2.465 6.701
1.826 0.476 9.539
1.826 4.454 9.539
2.269 7.394 7.217
2.353 0.759 7.444
2.353 4.170 7.444
4.254 5.689 1.924
4.254 9.100 1.924
4.337 2.465 1.697
4.781 5.406 4.019
4.781 9.383 4.019
5.437 7.394 1.181
5.558 0.775 0.995
5.558 4.155 0.995
5.814 5.749 8.682
5.814 9.040 8.682
5.948 2.465 8.572
6.232 7.394 7.290
6.276 0.758 7.208
6.276 4.172 7.208
6.938 5.687 3.832
6.938 9.102 3.832
6.982 2.465 3.751
7.266 7.394 2.468
7.400 0.820 2.359
7.400 4.110 2.359
7.656 5.705 10.046
7.656 9.084 10.046
7.776 2.465 9.860
8.432 0.476 7.022
8.432 4.454 7.022
8.876 7.394 9.343
8.959 0.759 9.117
8.959 4.170 9.117
10.861 5.689 3.596
10.861 9.100 3.596
10.944 2.465 3.823
11.388 5.406 1.501
11.388 9.383 1.501
12.044 7.394 4.340
12.165 0.775 4.525
12.165 4.155 4.525
12.421 5.749 7.879
12.421 9.040 7.879
12.554 2.465 7.988
12.838 7.394 9.271
12.883 0.758 9.353
12.883 4.172 9.353
2.300 7.394 10.033
4.307 2.465 4.513
8.907 7.394 6.527
10.914 2.465 1.007
```

Output
- space group = Pnma (62)
- DFT formation energy (kJ per mole of atoms) = -3.7
- total magnetic moment (μB/cell) = 0.00

---

no.,E (eV per atom)
1,-19.49
2,-35.22
3,-25.09
4,-28.01
5,-8.65
6,-9.63
7,-4.86
8,-15.21
9,-32.12
10,-22.74
11,-51.54
12,-14.52